Here is a relaxed H32WC8N4Cl7 crystal from the Materials Project database. Energies are from PBE.

Summary:
Crystal system: orthorhombic
SG: P2_12_12 (18)
Energy (eV per cell): -520.09
Calculated volume (Å³ per atom): 11.52
Formation energy (eV/atom): -0.4366

a = 10.302 Å, b = 13.194 Å, c = 8.816 Å
α = 90.00°, β = 90.00°, γ = 90.00°
Element x y z (fractional)
H 0.016 0.153 0.323
H 0.035 0.153 0.605
H 0.077 0.602 0.112
H 0.090 0.943 0.617
H 0.108 0.826 0.715
H 0.108 0.943 0.332
H 0.124 0.740 0.479
H 0.140 0.826 0.238
H 0.157 0.482 0.100
H 0.163 0.745 0.954
H 0.175 0.058 0.049
H 0.178 0.571 0.865
H 0.180 0.229 0.962
H 0.199 0.223 0.164
H 0.234 0.585 0.195
H 0.235 0.832 0.490
H 0.265 0.332 0.510
H 0.266 0.085 0.805
H 0.301 0.723 0.836
H 0.320 0.729 0.038
H 0.322 0.071 0.135
H 0.325 0.558 0.951
H 0.337 0.245 0.046
H 0.343 0.982 0.900
H 0.360 0.326 0.762
H 0.376 0.240 0.521
H 0.392 0.326 0.285
H 0.392 0.443 0.668
H 0.410 0.443 0.383
H 0.423 0.102 0.888
H 0.465 0.653 0.395
H 0.484 0.653 0.677
H 0.516 0.347 0.677
H 0.535 0.347 0.395
H 0.577 0.898 0.888
H 0.590 0.557 0.383
H 0.608 0.557 0.668
H 0.608 0.674 0.285
H 0.624 0.760 0.521
H 0.640 0.674 0.762
H 0.657 0.018 0.900
H 0.663 0.755 0.046
H 0.675 0.442 0.951
H 0.678 0.929 0.135
H 0.680 0.271 0.038
H 0.699 0.277 0.836
H 0.734 0.915 0.805
H 0.735 0.668 0.510
H 0.765 0.168 0.490
H 0.766 0.415 0.195
H 0.801 0.777 0.164
H 0.820 0.771 0.962
H 0.822 0.429 0.865
H 0.825 0.942 0.049
H 0.837 0.255 0.954
H 0.843 0.518 0.100
H 0.860 0.174 0.238
H 0.876 0.260 0.479
H 0.892 0.057 0.332
H 0.892 0.174 0.715
H 0.910 0.057 0.617
H 0.923 0.398 0.112
H 0.965 0.847 0.605
H 0.984 0.847 0.323
W 0.000 0.500 0.578
W 0.500 0.000 0.422
C 0.070 0.862 0.614
C 0.088 0.862 0.332
C 0.171 0.564 0.101
C 0.244 0.206 0.055
C 0.256 0.706 0.945
C 0.329 0.064 0.899
C 0.412 0.362 0.668
C 0.430 0.362 0.386
C 0.570 0.638 0.386
C 0.588 0.638 0.668
C 0.671 0.936 0.899
C 0.744 0.294 0.945
C 0.756 0.794 0.055
C 0.829 0.436 0.101
C 0.912 0.138 0.332
C 0.930 0.138 0.614
N 0.135 0.818 0.478
N 0.234 0.595 0.956
N 0.266 0.095 0.044
N 0.365 0.318 0.522
N 0.635 0.682 0.522
N 0.734 0.905 0.044
N 0.766 0.405 0.956
N 0.865 0.182 0.478
Cl 0.000 0.000 0.993
Cl 0.073 0.384 0.778
Cl 0.079 0.375 0.388
Cl 0.213 0.586 0.569
Cl 0.287 0.086 0.431
Cl 0.421 0.875 0.612
Cl 0.427 0.884 0.222
Cl 0.500 0.500 0.007
Cl 0.573 0.116 0.222
Cl 0.579 0.125 0.612
Cl 0.713 0.914 0.431
Cl 0.787 0.414 0.569
Cl 0.921 0.625 0.388
Cl 0.927 0.616 0.778

Here is a relaxed BC12ClF10 crystal from the Materials Project database. Energies are from PBE.

Summary:
Crystal system: monoclinic
SG: P2_1/c (14)
Energy (eV per cell): -624.30
Calculated volume (Å³ per atom): 14.30
Formation energy (eV/atom): -0.9283

a = 14.759 Å, b = 6.496 Å, c = 16.982 Å
α = 90.00°, β = 122.54°, γ = 90.00°
Element x y z (fractional)
B 0.249 0.227 0.186
B 0.249 0.273 0.686
B 0.751 0.727 0.314
B 0.751 0.773 0.814
C 0.002 0.711 0.657
C 0.002 0.789 0.157
C 0.029 0.022 0.889
C 0.029 0.478 0.389
C 0.049 0.112 0.118
C 0.049 0.388 0.618
C 0.110 0.737 0.209
C 0.110 0.763 0.709
C 0.160 0.070 0.172
C 0.160 0.430 0.672
C 0.186 0.624 0.715
C 0.186 0.876 0.215
C 0.361 0.249 0.781
C 0.361 0.251 0.281
C 0.372 0.229 0.367
C 0.372 0.271 0.867
C 0.438 0.704 0.545
C 0.438 0.796 0.045
C 0.444 0.679 0.629
C 0.444 0.821 0.129
C 0.458 0.201 0.786
C 0.458 0.299 0.286
C 0.468 0.249 0.953
C 0.468 0.251 0.453
C 0.532 0.749 0.547
C 0.532 0.751 0.047
C 0.542 0.701 0.714
C 0.542 0.799 0.214
C 0.556 0.179 0.871
C 0.556 0.321 0.371
C 0.562 0.204 0.955
C 0.562 0.296 0.455
C 0.628 0.729 0.133
C 0.628 0.771 0.633
C 0.639 0.749 0.719
C 0.639 0.751 0.219
C 0.814 0.124 0.785
C 0.814 0.376 0.285
C 0.840 0.570 0.328
C 0.840 0.930 0.828
C 0.890 0.237 0.291
C 0.890 0.263 0.791
C 0.951 0.612 0.382
C 0.951 0.888 0.882
C 0.971 0.522 0.611
C 0.971 0.978 0.111
C 0.998 0.211 0.843
C 0.998 0.289 0.343
Cl 0.222 0.112 0.593
Cl 0.222 0.388 0.093
Cl 0.778 0.612 0.907
Cl 0.778 0.888 0.407
F 0.012 0.207 0.572
F 0.012 0.293 0.072
F 0.072 0.157 0.349
F 0.072 0.343 0.849
F 0.134 0.530 0.439
F 0.134 0.970 0.939
F 0.141 0.553 0.252
F 0.141 0.947 0.752
F 0.285 0.187 0.372
F 0.285 0.313 0.872
F 0.290 0.686 0.767
F 0.290 0.814 0.267
F 0.344 0.685 0.463
F 0.344 0.815 0.963
F 0.354 0.635 0.628
F 0.354 0.865 0.128
F 0.461 0.180 0.709
F 0.461 0.320 0.209
F 0.473 0.227 0.534
F 0.473 0.273 0.034
F 0.527 0.727 0.966
F 0.527 0.773 0.466
F 0.539 0.680 0.791
F 0.539 0.820 0.291
F 0.646 0.135 0.872
F 0.646 0.365 0.372
F 0.656 0.185 0.037
F 0.656 0.315 0.537
F 0.710 0.186 0.733
F 0.710 0.314 0.233
F 0.715 0.687 0.128
F 0.715 0.813 0.628
F 0.859 0.053 0.248
F 0.859 0.447 0.748
F 0.866 0.030 0.061
F 0.866 0.470 0.561
F 0.928 0.657 0.151
F 0.928 0.843 0.651
F 0.988 0.707 0.928
F 0.988 0.793 0.428

Here is a relaxed ZrSn2 crystal from the Materials Project database. Energies are from PBE.

Summary:
Crystal system: orthorhombic
SG: Fddd (70)
Energy (eV per cell): -35.69
Calculated volume (Å³ per atom): 23.17
Formation energy (eV/atom): -0.4265

a = 6.966 Å, b = 5.761 Å, c = 5.636 Å
α = 75.35°, β = 53.14°, γ = 51.52°
Element x y z (fractional)
Zr 0.125 0.125 0.125
Zr 0.875 0.875 0.875
Sn 0.206 0.544 0.206
Sn 0.456 0.794 0.456
Sn 0.544 0.206 0.544
Sn 0.794 0.456 0.794

> Which value of formation energy does entry 1 give?

-0.4366 eV/atom